A relaxed SiO2 crystal, computed with GGA-PBE.

Properties
- Formation enthalpy at 0 K: -3090.3 meV/atom
- Symmetry: I2_12_12_1
- Total DFT energy (no corrections): -7.74 eV/atom
- Maximum piezoelectric response: 0.1 C/m2

Cell lengths 8.374, 8.374, 8.374 Å; angles 150.61, 147.66, 44.27 degrees
Atoms (fractional coordinates):
Si  0.187  0.437  0.750
Si  0.440  0.690  0.750
Si  0.060  0.810  0.250
Si  0.313  0.063  0.250
O  0.288  0.608  0.155
O  0.212  0.367  0.320
O  0.547  0.892  0.180
O  0.071  0.750  0.821
O  0.750  0.593  0.843
O  0.250  0.907  0.657
O  0.429  0.250  0.679
O  0.953  0.133  0.345

***

A relaxed La4B2N5 crystal, computed with GGA-PBE.

Properties
- Formation enthalpy at 0 K: -1506.7 meV/atom
- Symmetry: C2/m
- Total DFT energy (no corrections): -8.14 eV/atom

Cell lengths 6.582, 6.582, 9.190 Å; angles 52.31, 52.31, 32.51 degrees
Atoms (fractional coordinates):
La  0.812  0.812  0.614
La  0.188  0.188  0.386
La  0.577  0.577  0.155
La  0.423  0.423  0.845
B  0.912  0.912  0.110
B  0.088  0.088  0.890
N  0.883  0.883  0.294
N  0.117  0.117  0.706
N  0.799  0.799  0.101
N  0.201  0.201  0.899
N  0.500  0.500  0.500

***

A relaxed K2P2PdO7 crystal, computed with GGA-PBE.

Properties
- Formation enthalpy at 0 K: -2377.1 meV/atom
- Symmetry: Pnma
- Total DFT energy (no corrections): -6.38 eV/atom

Cell lengths 7.086, 9.555, 11.165 Å; angles 90.00, 90.00, 90.00 degrees
Atoms (fractional coordinates):
K  0.750  0.409  0.467
K  0.750  0.909  0.033
K  0.250  0.591  0.533
K  0.250  0.091  0.967
K  0.250  0.650  0.968
K  0.250  0.150  0.532
K  0.750  0.350  0.032
K  0.750  0.850  0.468
P  0.466  0.366  0.769
P  0.034  0.866  0.731
P  0.966  0.634  0.231
P  0.534  0.134  0.269
P  0.534  0.634  0.231
P  0.966  0.134  0.269
P  0.034  0.366  0.769
P  0.466  0.866  0.731
Pd  0.750  0.613  0.756
Pd  0.750  0.113  0.744
Pd  0.250  0.387  0.244
Pd  0.250  0.887  0.256
O  0.551  0.232  0.828
O  0.949  0.732  0.672
O  0.051  0.768  0.172
O  0.449  0.268  0.328
O  0.449  0.768  0.172
O  0.051  0.268  0.328
O  0.949  0.232  0.828
O  0.551  0.732  0.672
O  0.539  0.498  0.836
O  0.961  0.998  0.664
O  0.039  0.502  0.164
O  0.461  0.002  0.336
O  0.461  0.502  0.164
O  0.039  0.002  0.336
O  0.961  0.498  0.836
O  0.539  0.998  0.664
O  0.469  0.371  0.635
O  0.031  0.871  0.865
O  0.969  0.629  0.365
O  0.531  0.129  0.135
O  0.531  0.629  0.365
O  0.969  0.129  0.135
O  0.031  0.371  0.635
O  0.469  0.871  0.865
O  0.250  0.356  0.821
O  0.250  0.856  0.679
O  0.750  0.644  0.179
O  0.750  0.144  0.321

***

Question: Which value of total DFT energy (no corrections) does entry 1 give?
Answer: -7.74 eV/atom

***

What did the third record say?
A relaxed K2P2PdO7 crystal, computed with GGA-PBE.

Properties
- Formation enthalpy at 0 K: -2377.1 meV/atom
- Symmetry: Pnma
- Total DFT energy (no corrections): -6.38 eV/atom

Cell lengths 7.086, 9.555, 11.165 Å; angles 90.00, 90.00, 90.00 degrees
Atoms (fractional coordinates):
K  0.750  0.409  0.467
K  0.750  0.909  0.033
K  0.250  0.591  0.533
K  0.250  0.091  0.967
K  0.250  0.650  0.968
K  0.250  0.150  0.532
K  0.750  0.350  0.032
K  0.750  0.850  0.468
P  0.466  0.366  0.769
P  0.034  0.866  0.731
P  0.966  0.634  0.231
P  0.534  0.134  0.269
P  0.534  0.634  0.231
P  0.966  0.134  0.269
P  0.034  0.366  0.769
P  0.466  0.866  0.731
Pd  0.750  0.613  0.756
Pd  0.750  0.113  0.744
Pd  0.250  0.387  0.244
Pd  0.250  0.887  0.256
O  0.551  0.232  0.828
O  0.949  0.732  0.672
O  0.051  0.768  0.172
O  0.449  0.268  0.328
O  0.449  0.768  0.172
O  0.051  0.268  0.328
O  0.949  0.232  0.828
O  0.551  0.732  0.672
O  0.539  0.498  0.836
O  0.961  0.998  0.664
O  0.039  0.502  0.164
O  0.461  0.002  0.336
O  0.461  0.502  0.164
O  0.039  0.002  0.336
O  0.961  0.498  0.836
O  0.539  0.998  0.664
O  0.469  0.371  0.635
O  0.031  0.871  0.865
O  0.969  0.629  0.365
O  0.531  0.129  0.135
O  0.531  0.629  0.365
O  0.969  0.129  0.135
O  0.031  0.371  0.635
O  0.469  0.871  0.865
O  0.250  0.356  0.821
O  0.250  0.856  0.679
O  0.750  0.644  0.179
O  0.750  0.144  0.321